CrCo3 | PBE-GGA | relaxed

Properties
Space-group type   No. 221

abc: 3.482 3.482 3.482
angles: 90.00 90.00 90.00
Fractional positions:
Cr  0.000  0.000  0.000
Co  0.000  0.500  0.500
Co  0.500  0.000  0.500
Co  0.500  0.500  0.000

***

Cr3Co | PBE-GGA | relaxed

Properties
Space-group type   No. 194

abc: 5.083 5.083 4.083
angles: 90.00 90.00 120.00
Fractional positions:
Cr  0.165  0.330  0.250
Cr  0.165  0.835  0.250
Cr  0.330  0.165  0.750
Cr  0.670  0.835  0.250
Cr  0.835  0.165  0.750
Cr  0.835  0.670  0.750
Co  0.333  0.667  0.750
Co  0.667  0.333  0.250

***

CrCo | PBE-GGA | relaxed

Properties
Space-group type   No. 221

abc: 2.851 2.851 2.851
angles: 90.00 90.00 90.00
Fractional positions:
Cr  0.000  0.000  0.000
Co  0.500  0.500  0.500

***

How do the records compare in formation enthalpy at 0 K? In the order shown, they have 0.0629; 0.2521; 0.1536 eV per atom.